No. 1
The following is a DFT calculation (GGA-PBE) of a geometry-optimized Sm2O structure. Values from VASP.

```
&SYSTEM
  ibrav = 0, nat = 3, ntyp = 2
/
ATOMIC_SPECIES
Sm 150.36 Sm.upf
O 16.00 O.upf
CELL_PARAMETERS angstrom
3.551 0.000 0.000
0.000 3.551 0.000
0.000 0.000 4.982
ATOMIC_POSITIONS crystal
Sm 0.000 0.000 0.000
Sm 0.500 0.500 0.500
O 0.000 0.000 0.500
```

## Properties
Space-group type ... P4/mmm, No. 123
M_tot ... 0.20 μB per cell
Volume ... 20.94 Å³ per atom
Energy with MP2020 corrections ... -6.8424 eV/atom
Calculated total energy ... -6.6134 eV per atom

=====

No. 2
The following is a DFT calculation (GGA-PBE) of a geometry-optimized ZnCu2SiS4 structure. Values from VASP.

```
&SYSTEM
  ibrav = 0, nat = 16, ntyp = 4
/
ATOMIC_SPECIES
Zn 65.41 Zn.upf
Cu 63.55 Cu.upf
Si 28.09 Si.upf
S 32.06 S.upf
CELL_PARAMETERS angstrom
7.374 0.000 0.000
0.000 6.450 0.000
0.000 0.000 6.155
ATOMIC_POSITIONS crystal
Zn 0.000 0.151 0.000
Zn 0.500 0.849 0.500
Cu 0.248 0.327 0.492
Cu 0.252 0.673 0.992
Cu 0.748 0.673 0.992
Cu 0.752 0.327 0.492
Si 0.000 0.829 0.501
Si 0.500 0.171 0.001
S 0.000 0.145 0.616
S 0.000 0.818 0.150
S 0.237 0.665 0.620
S 0.263 0.335 0.120
S 0.500 0.182 0.650
S 0.500 0.855 0.116
S 0.737 0.335 0.120
S 0.763 0.665 0.620
```

## Properties
Space-group type ... Pmn2_1, No. 31
M_tot ... 0.00 μB per cell
Volume ... 18.30 Å³ per atom
Energy with MP2020 corrections ... -4.7293 eV/atom
Calculated total energy ... -4.4778 eV per atom

=====

No. 3
The following is a DFT calculation (GGA-PBE) of a geometry-optimized Mg6ZnSb structure. Values from VASP.

```
&SYSTEM
  ibrav = 0, nat = 16, ntyp = 3
/
ATOMIC_SPECIES
Mg 24.30 Mg.upf
Zn 65.41 Zn.upf
Sb 121.76 Sb.upf
CELL_PARAMETERS angstrom
-4.139 -3.076 1.201
1.555 0.230 5.945
-6.195 8.836 1.279
ATOMIC_POSITIONS crystal
Mg 0.000 0.750 0.584
Mg 0.500 0.254 0.411
Mg 0.000 0.500 0.832
Mg 0.500 0.746 0.411
Mg 0.500 0.500 0.666
Mg 0.000 0.000 0.332
Mg 0.000 0.750 0.084
Mg 0.500 0.000 0.166
Mg 0.500 0.754 0.911
Mg 0.000 0.250 0.584
Mg 0.000 0.250 0.084
Mg 0.500 0.246 0.911
Zn 0.000 0.000 0.849
Zn 0.000 0.500 0.349
Sb 0.500 0.000 0.662
Sb 0.500 0.500 0.162
```

## Properties
M_tot ... 0.00 μB per cell
Volume ... 22.12 Å³ per atom
Energy with MP2020 corrections ... -1.9469 eV/atom
Calculated total energy ... -1.9229 eV per atom

=====

No. 4
The following is a DFT calculation (GGA-PBE) of a geometry-optimized ScSnPt2 structure. Values from VASP.

```
&SYSTEM
  ibrav = 0, nat = 4, ntyp = 3
/
ATOMIC_SPECIES
Sc 44.96 Sc.upf
Sn 118.71 Sn.upf
Pt 195.08 Pt.upf
CELL_PARAMETERS angstrom
0.000 3.313 3.313
3.313 0.000 3.313
3.313 3.313 0.000
ATOMIC_POSITIONS crystal
Sc 0.000 0.000 0.000
Sn 0.500 0.500 0.500
Pt 0.250 0.250 0.250
Pt 0.750 0.750 0.750
```

## Properties
Space-group type ... Fm-3m, No. 225
M_tot ... 0.00 μB per cell
Volume ... 18.17 Å³ per atom
Calculated total energy ... -6.5117 eV per atom

=====

No. 5
The following is a DFT calculation (GGA-PBE) of a geometry-optimized ErMnGa structure. Values from VASP.

```
&SYSTEM
  ibrav = 0, nat = 18, ntyp = 3
/
ATOMIC_SPECIES
Er 167.26 Er.upf
Mn 54.94 Mn.upf
Ga 69.72 Ga.upf
CELL_PARAMETERS angstrom
-4.086 6.085 3.549
4.086 -6.085 3.549
4.086 6.085 -3.549
ATOMIC_POSITIONS crystal
Er 0.001 0.250 0.251
Er 0.137 0.107 0.531
Er 0.186 0.635 0.051
Er 0.576 0.607 0.469
Er 0.583 0.135 0.949
Er 0.999 0.750 0.749
Mn 0.349 0.349 0.000
Mn 0.349 0.849 0.500
Mn 0.586 0.185 0.366
Mn 0.586 0.720 0.900
Mn 0.820 0.220 0.634
Mn 0.820 0.685 0.100
Ga 0.249 0.077 0.163
Ga 0.249 0.586 0.672
Ga 0.567 0.337 0.731
Ga 0.606 0.837 0.269
Ga 0.914 0.086 0.837
Ga 0.914 0.577 0.328
```

## Properties
Space-group type ... Ima2, No. 46
M_tot ... 19.16 μB per cell
Volume ... 19.61 Å³ per atom
Calculated total energy ... -5.8657 eV per atom

=====

No. 6
The following is a DFT calculation (GGA-PBE) of a geometry-optimized Nb3AlV3Sn structure. Values from VASP.

```
&SYSTEM
  ibrav = 0, nat = 8, ntyp = 4
/
ATOMIC_SPECIES
Nb 92.91 Nb.upf
Al 26.98 Al.upf
V 50.94 V.upf
Sn 118.71 Sn.upf
CELL_PARAMETERS angstrom
3.606 2.082 2.934
-3.606 2.082 2.934
0.000 -4.163 2.934
ATOMIC_POSITIONS crystal
Nb 0.089 0.323 0.588
Nb 0.323 0.588 0.089
Nb 0.588 0.089 0.323
Al 0.083 0.083 0.083
V 0.090 0.845 0.584
V 0.584 0.090 0.845
V 0.845 0.584 0.090
Sn 0.594 0.594 0.594
```

## Properties
Space-group type ... R3, No. 146
M_tot ... 2.85 μB per cell
Volume ... 16.52 Å³ per atom
Calculated total energy ... -8.2610 eV per atom

=====

No. 7
The following is a DFT calculation (GGA-PBE) of a geometry-optimized ZrTiMo4 structure. Values from VASP.

```
&SYSTEM
  ibrav = 0, nat = 6, ntyp = 3
/
ATOMIC_SPECIES
Zr 91.22 Zr.upf
Ti 47.87 Ti.upf
Mo 95.94 Mo.upf
CELL_PARAMETERS angstrom
0.000 3.769 3.769
3.769 0.000 3.769
3.769 3.769 0.000
ATOMIC_POSITIONS crystal
Zr 0.000 0.000 0.000
Ti 0.750 0.750 0.750
Mo 0.375 0.375 0.375
Mo 0.375 0.375 0.875
Mo 0.375 0.875 0.375
Mo 0.875 0.375 0.375
```

## Properties
Space-group type ... F-43m, No. 216
M_tot ... 0.00 μB per cell
Volume ... 17.84 Å³ per atom
Calculated total energy ... -10.0309 eV per atom

=====

No. 8
The following is a DFT calculation (GGA-PBE) of a geometry-optimized MgMn2S4 structure. Values from VASP.

```
&SYSTEM
  ibrav = 0, nat = 14, ntyp = 3
/
ATOMIC_SPECIES
Mg 24.30 Mg.upf
Mn 54.94 Mn.upf
S 32.06 S.upf
CELL_PARAMETERS angstrom
6.020 -3.471 0.000
6.020 3.471 0.000
-4.162 0.000 5.906
ATOMIC_POSITIONS crystal
Mg 0.000 0.000 0.000
Mg 0.000 0.000 0.500
Mn 0.000 0.500 0.000
Mn 0.500 0.000 0.000
Mn 0.500 0.500 0.000
Mn 0.500 0.500 0.500
S 0.252 0.728 0.229
S 0.255 0.255 0.229
S 0.260 0.260 0.788
S 0.272 0.748 0.771
S 0.728 0.252 0.229
S 0.740 0.740 0.212
S 0.745 0.745 0.771
S 0.748 0.272 0.771
```

## Properties
Space-group type ... C2/m, No. 12
M_tot ... 13.46 μB per cell
Volume ... 17.63 Å³ per atom
Energy with MP2020 corrections ... -6.2314 eV/atom
Calculated total energy ... -5.9440 eV per atom

=====

No. 9
The following is a DFT calculation (GGA-PBE) of a geometry-optimized NdSbO4 structure. Values from VASP.

```
&SYSTEM
  ibrav = 0, nat = 24, ntyp = 3
/
ATOMIC_SPECIES
Nd 144.24 Nd.upf
Sb 121.76 Sb.upf
O 16.00 O.upf
CELL_PARAMETERS angstrom
7.773 0.000 0.000
0.000 5.559 0.000
-1.366 0.000 7.621
ATOMIC_POSITIONS crystal
Nd 0.149 0.225 0.397
Nd 0.149 0.275 0.897
Nd 0.851 0.725 0.103
Nd 0.851 0.775 0.603
Sb 0.337 0.732 0.197
Sb 0.337 0.768 0.697
Sb 0.663 0.232 0.303
Sb 0.663 0.268 0.803
O 0.120 0.524 0.174
O 0.120 0.976 0.674
O 0.174 0.000 0.128
O 0.174 0.500 0.628
O 0.331 0.636 0.944
O 0.331 0.864 0.444
O 0.438 0.090 0.799
O 0.438 0.410 0.299
O 0.562 0.590 0.701
O 0.562 0.910 0.201
O 0.669 0.136 0.556
O 0.669 0.364 0.056
O 0.826 0.000 0.872
O 0.826 0.500 0.372
O 0.880 0.024 0.326
O 0.880 0.476 0.826
```

## Properties
Space-group type ... P2_1/c, No. 14
Volume ... 13.72 Å³ per atom
Energy with MP2020 corrections ... -7.5806 eV/atom
Calculated total energy ... -7.1226 eV per atom

=====

No. 10
The following is a DFT calculation (GGA-PBE) of a geometry-optimized Mn10CdN8 structure. Values from VASP.

```
&SYSTEM
  ibrav = 0, nat = 19, ntyp = 3
/
ATOMIC_SPECIES
Mn 54.94 Mn.upf
Cd 112.41 Cd.upf
N 14.01 N.upf
CELL_PARAMETERS angstrom
8.062 -1.910 0.000
8.062 1.910 0.000
-4.028 0.000 7.098
ATOMIC_POSITIONS crystal
Mn 0.039 0.039 0.250
Mn 0.198 0.198 0.188
Mn 0.206 0.206 0.892
Mn 0.314 0.314 0.610
Mn 0.417 0.417 0.999
Mn 0.583 0.583 0.001
Mn 0.686 0.686 0.390
Mn 0.794 0.794 0.108
Mn 0.802 0.802 0.812
Mn 0.961 0.961 0.750
Cd 0.500 0.500 0.500
N 0.098 0.098 0.942
N 0.181 0.181 0.403
N 0.304 0.304 0.159
N 0.452 0.452 0.801
N 0.548 0.548 0.199
N 0.696 0.696 0.841
N 0.819 0.819 0.597
N 0.902 0.902 0.058
```

## Properties
Space-group type ... C2/m, No. 12
M_tot ... 16.11 μB per cell
Volume ... 11.51 Å³ per atom
Energy with MP2020 corrections ... -8.6458 eV/atom
Calculated total energy ... -8.4938 eV per atom

=====

No. 11
The following is a DFT calculation (GGA-PBE) of a geometry-optimized Mg6TiGa structure. Values from VASP.

```
&SYSTEM
  ibrav = 0, nat = 16, ntyp = 3
/
ATOMIC_SPECIES
Mg 24.30 Mg.upf
Ga 69.72 Ga.upf
Ti 47.87 Ti.upf
CELL_PARAMETERS angstrom
-4.956 -0.136 0.050
-0.053 -0.259 -6.012
0.306 -10.996 0.470
ATOMIC_POSITIONS crystal
Mg 0.500 0.249 0.419
Mg 0.000 0.754 0.084
Mg 0.000 0.746 0.584
Mg 0.000 0.254 0.584
Mg 0.000 0.000 0.829
Mg 0.500 0.751 0.419
Mg 0.000 0.246 0.084
Mg 0.500 0.251 0.919
Mg 0.000 0.000 0.327
Mg 0.000 0.500 0.329
Mg 0.000 0.500 0.827
Mg 0.500 0.749 0.919
Ga 0.500 0.000 0.667
Ga 0.500 0.500 0.167
Ti 0.500 0.500 0.671
Ti 0.500 0.000 0.171
```

## Properties
M_tot ... 1.13 μB per cell
Volume ... 20.53 Å³ per atom
Calculated total energy ... -2.5302 eV per atom

=====

No. 12
The following is a DFT calculation (GGA-PBE) of a geometry-optimized VINCl3 structure. Values from VASP.

```
&SYSTEM
  ibrav = 0, nat = 12, ntyp = 4
/
ATOMIC_SPECIES
V 50.94 V.upf
I 126.90 I.upf
N 14.01 N.upf
Cl 35.45 Cl.upf
CELL_PARAMETERS angstrom
6.084 0.000 0.000
2.353 7.338 0.000
0.602 3.819 7.668
ATOMIC_POSITIONS crystal
V 0.249 0.021 0.356
V 0.751 0.979 0.644
I 0.214 0.681 0.186
I 0.786 0.319 0.814
N 0.209 0.897 0.251
N 0.791 0.103 0.749
Cl 0.145 0.786 0.632
Cl 0.274 0.309 0.125
Cl 0.369 0.162 0.568
Cl 0.631 0.838 0.432
Cl 0.726 0.691 0.875
Cl 0.855 0.214 0.368
```

## Properties
Space-group type ... P-1, No. 2
M_tot ... 0.00 μB per cell
Volume ... 28.53 Å³ per atom
Energy with MP2020 corrections ... -5.0186 eV/atom
Calculated total energy ... -4.7116 eV per atom

=====

In eV/atom, the energy of formation values for the records above are, in order, -2.0474, -0.8006, -0.0731, -0.8906, -0.2798, -0.0972, -0.0600, -1.0214, -2.7991, -0.2650, 0.0355, -0.9369.